Hf2N2O | PBE-GGA | relaxed

- Calculated volume: 512.45 Å³ per cell
- Space group: No. 1
- Raw total energy: -10.554 eV per atom
- Energy relative to the elements: -2.384 eV per atom

Lattice parameters (Å, degrees): 8.7123 8.7304 8.7353 109.35 109.54 109.37
With the nearest neighbours (Å) after each atom.
Atoms (fractional coordinates):
1 Hf 0.4874 0.4991 0.4997  3 N 2.09-2.13, 3 O 2.19-2.23
2 Hf 0.7877 0.5371 0.2515  4 O 2.09-2.20, 2 N 2.11-2.14
3 Hf 0.0365 0.7524 0.7857  2 O 2.13-2.21, 4 N 2.14-2.22
4 Hf 0.5231 0.7499 0.2816  3 N 2.07-2.11, 3 O 2.19-2.30
5 Hf 0.7125 0.9699 0.7610  4 N 2.09-2.29, 2 O 2.21
6 Hf 0.9967 0.4997 0.9879  5 N 2.10-2.20, 1 O 2.33
7 Hf 0.4970 0.9991 0.0009  4 N 2.13-2.20, 2 O 2.15-2.20
8 Hf 0.0175 0.0063 0.5076  4 N 2.08-2.17, 2 O 2.27-2.29
9 Hf 0.7594 0.2130 0.4673  3 N 2.11-2.19, 3 O 2.13-2.20
10 Hf 0.2419 0.2822 0.0301  5 N 2.11-2.21, 1 O 2.27
11 Hf 0.2564 0.7965 0.5369  4 N 2.10-2.24, 2 O 2.21-2.24
12 Hf 0.7492 0.7129 0.9657  4 N 2.13-2.21, 2 O 2.16-2.24
13 Hf 0.2804 0.0300 0.2401  5 N 2.10-2.20, 1 O 2.31
14 Hf 0.9696 0.2420 0.2105  4 N 2.08-2.21, 2 O 2.17-2.33
15 Hf 0.4665 0.2534 0.7191  5 N 2.13-2.24, 1 O 2.21
16 Hf 0.2139 0.4567 0.7486  5 N 2.14-2.25, 1 O 2.20
17 N 0.2318 0.2655 0.2740  4 Hf 2.08-2.21
18 N 0.4523 0.7243 0.4841  4 Hf 2.11-2.29
19 N 0.4958 0.9612 0.2335  4 Hf 2.09-2.19
20 N 0.9877 0.7596 0.5321  4 Hf 2.14-2.24
21 N 0.2622 0.0331 0.9841  4 Hf 2.13-2.20
22 N 0.9632 0.2260 0.9500  4 Hf 2.10-2.21
23 N 0.0044 0.2324 0.4611  4 Hf 2.11-2.19
24 N 0.2390 0.2265 0.7705  4 Hf 2.08-2.15
25 N 0.0311 0.7730 0.0437  4 Hf 2.10-2.22
26 N 0.7397 0.9643 0.0146  4 Hf 2.13-2.20
27 N 0.5105 0.0438 0.7748  4 Hf 2.09-2.17
28 N 0.2749 0.5456 0.0355  4 Hf 2.07-2.20
29 N 0.2301 0.9899 0.4537  4 Hf 2.09-2.24
30 N 0.9515 0.4652 0.7246  4 Hf 2.10-2.25
31 N 0.7280 0.4566 0.9737  4 Hf 2.11-2.21
32 N 0.4653 0.5140 0.7342  4 Hf 2.09-2.24
33 O 0.7243 0.2761 0.2379  4 Hf 2.11-2.33
34 O 0.7721 0.7367 0.7262  4 Hf 2.13-2.24
35 O 0.5426 0.4894 0.2659  4 Hf 2.09-2.30
36 O 0.7545 0.7689 0.2279  4 Hf 2.16-2.29
37 O 0.7748 0.0111 0.5473  4 Hf 2.13-2.27
38 O 0.5507 0.2789 0.5122  4 Hf 2.19-2.31
39 O 0.0424 0.5282 0.2768  4 Hf 2.17-2.33
40 O 0.2752 0.7294 0.7672  4 Hf 2.15-2.24

***

Hf2N2O | PBE-GGA | relaxed

- Calculated volume: 512.24 Å³ per cell
- Space group: No. 1
- Raw total energy: -10.555 eV per atom
- Energy relative to the elements: -2.386 eV per atom

Lattice parameters (Å, degrees): 8.7185 8.7243 8.7279 109.50 109.23 109.49
With the nearest neighbours (Å) after each atom.
Atoms (fractional coordinates):
1 Hf 0.7262 0.9688 0.7559  4 N 2.09-2.20, 2 O 2.20-2.28
2 Hf 0.5107 0.5001 0.4990  3 N 2.08-2.11, 3 O 2.22-2.27
3 Hf 0.2420 0.7792 0.5297  3 N 2.06-2.13, 2 O 2.11-2.20
4 Hf 0.7551 0.7219 0.9678  4 N 2.09-2.24, 2 O 2.21-2.29
5 Hf 0.9559 0.2502 0.2134  5 N 2.13-2.23, 1 O 2.23
6 Hf 0.4622 0.2428 0.7047  2 N 2.08-2.13, 4 O 2.10-2.20
7 Hf 0.5059 0.9959 0.0094  4 N 2.09-2.20, 2 O 2.24-2.30
8 Hf 0.7860 0.5343 0.2501  4 N 2.12-2.20, 2 O 2.16-2.17
9 Hf 0.2066 0.4728 0.7477  4 N 2.08-2.16, 1 O 2.20
10 Hf 0.9900 0.0018 0.4879  4 N 2.09-2.21, 2 O 2.26-2.28
11 Hf 0.0303 0.7438 0.7898  4 N 2.10-2.25, 2 O 2.19-2.22
12 Hf 0.5415 0.7521 0.2845  5 N 2.13-2.22, 1 O 2.26
13 Hf 0.2514 0.2927 0.0364  3 O 2.11-2.21, 3 N 2.13-2.16
14 Hf 0.7495 0.2141 0.4640  6 N 2.15-2.27
15 Hf 0.0121 0.5020 0.0029  5 N 2.10-2.22, 1 O 2.31
16 Hf 0.2862 0.0312 0.2552  4 N 2.11-2.23, 2 O 2.19-2.30
17 N 0.0455 0.5387 0.2746  4 Hf 2.06-2.19
18 N 0.7332 0.9618 0.0081  4 Hf 2.09-2.20
19 N 0.2299 0.9893 0.4608  4 Hf 2.12-2.21
20 N 0.7691 0.7350 0.7202  4 Hf 2.10-2.24
21 N 0.9697 0.2275 0.9569  4 Hf 2.09-2.23
22 N 0.7230 0.2705 0.2332  4 Hf 2.12-2.19
23 N 0.7716 0.0089 0.5435  4 Hf 2.13-2.19
24 N 0.5334 0.4898 0.2666  4 Hf 2.08-2.22
25 N 0.2722 0.7295 0.7585  4 Hf 2.08-2.25
26 N 0.9519 0.4664 0.7278  4 Hf 2.10-2.17
27 N 0.7643 0.7711 0.2275  4 Hf 2.11-2.20
28 N 0.0182 0.2398 0.4654  4 Hf 2.09-2.27
29 N 0.4821 0.9515 0.2237  4 Hf 2.09-2.26
30 N 0.2733 0.5440 0.0314  4 Hf 2.10-2.17
31 N 0.5442 0.2768 0.5150  4 Hf 2.08-2.23
32 N 0.0322 0.7754 0.0459  4 Hf 2.11-2.22
33 O 0.7203 0.4479 0.9639  4 Hf 2.15-2.31
34 O 0.5175 0.0510 0.7729  4 Hf 2.10-2.32
35 O 0.2616 0.0386 0.9872  4 Hf 2.15-2.30
36 O 0.4521 0.7282 0.4945  4 Hf 2.11-2.28
37 O 0.2285 0.2606 0.2699  4 Hf 2.19-2.23
38 O 0.2421 0.2256 0.7761  4 Hf 2.11-2.36
39 O 0.4659 0.5061 0.7426  4 Hf 2.20-2.27
40 O 0.9869 0.7619 0.5355  4 Hf 2.17-2.26

***

Hf2N2O | PBE-GGA | relaxed

- Calculated volume: 179.93 Å³ per cell
- Space group: No. 8
- Raw total energy: -10.459 eV per atom
- Energy relative to the elements: -2.289 eV per atom

Lattice parameters (Å, degrees): 7.0111 7.0111 8.1939 80.18 80.18 26.98
With the nearest neighbours (Å) after each atom.
Atoms (fractional coordinates):
1 Hf 0.0304 0.0304 0.1998  4 N 2.06-2.13
2 Hf 0.6384 0.6384 0.5260  4 N 2.17-2.40, 3 O 2.18-2.43
3 Hf 0.6954 0.6954 0.8666  4 N 2.09-2.22
4 Hf 0.3056 0.3056 0.1315  5 N 2.13-2.30, 1 O 2.19
5 Hf 0.3642 0.3642 0.4800  4 N 2.12-2.34, 2 O 2.20-2.33
6 Hf 0.9647 0.9647 0.8132  4 O 2.05-2.27, 2 N 2.06-2.16
7 N 0.5358 0.5358 0.3513  3 Hf 2.06-2.17
8 N 0.1698 0.1698 0.0352  4 Hf 2.13-2.14
9 N 0.1216 0.1216 0.7092  5 Hf 2.16-2.41
10 N 0.7954 0.7954 0.6210  3 Hf 2.12-2.22
11 N 0.8745 0.8745 0.2730  5 Hf 2.10-2.34
12 N 0.8270 0.8270 0.9635  4 Hf 2.06-2.13
13 O 0.2145 0.2145 0.3806  4 Hf 2.18-2.33
14 O 0.4654 0.4654 0.6615  3 Hf 2.05-2.20
15 O 0.4973 0.4973 0.9876  4 Hf 2.27-2.49

***

Q: What is the raw total energy in the third record?
A: -10.459 eV per atom